(1)
A relaxed structure of CsW2O6. Source: the Materials Project database, functional PBE+U.

Cell lengths 7.4428, 7.4428, 7.4428 Å; angles 60.00, 60.00, 60.00 degrees
Closest atoms and distances in Å follow each position.
Sites, in units of the cell vectors:
1 Cs 0.1250 0.1250 0.1250  6 O 3.31
2 Cs 0.8750 0.8750 0.8750  6 O 3.31
3 W 0.0000 0.5000 0.5000  6 O 1.97
4 W 0.5000 0.0000 0.5000  6 O 1.97
5 W 0.5000 0.5000 0.0000  6 O 1.97
6 W 0.5000 0.5000 0.5000  6 O 1.97
7 O 0.1896 0.1896 0.5604  2 W 1.97
8 O 0.1896 0.5604 0.1896  2 W 1.97
9 O 0.1896 0.5604 0.5604  2 W 1.97
10 O 0.4396 0.4396 0.8104  2 W 1.97
11 O 0.4396 0.8104 0.4396  2 W 1.97
12 O 0.4396 0.8104 0.8104  2 W 1.97
13 O 0.5604 0.1896 0.1896  2 W 1.97
14 O 0.5604 0.1896 0.5604  2 W 1.97
15 O 0.5604 0.5604 0.1896  2 W 1.97
16 O 0.8104 0.4396 0.4396  2 W 1.97
17 O 0.8104 0.4396 0.8104  2 W 1.97
18 O 0.8104 0.8104 0.4396  2 W 1.97

***

(2)
A relaxed structure of Cr3Fe3Te2O16. Source: the Materials Project database, functional PBE+U.

Cell lengths 6.0214, 6.0214, 9.2071 Å; angles 90.43, 90.43, 60.06 degrees
Closest atoms and distances in Å follow each position.
Sites, in units of the cell vectors:
1 Cr 0.0000 0.0000 0.0000  4 O 1.87-1.95
2 Cr 0.1686 0.6601 0.4958  6 O 1.91-2.10
3 Cr 0.6601 0.1686 0.4958  6 O 1.91-2.10
4 Fe 0.4916 0.9993 0.9885  6 O 1.97-2.15
5 Fe 0.6598 0.6598 0.4877  6 O 1.97-2.09
6 Fe 0.9993 0.4916 0.9885  6 O 1.97-2.15
7 Te 0.1601 0.1601 0.2726  6 O 1.94-2.00
8 Te 0.4960 0.4960 0.7702  6 O 1.93-2.00
9 O 0.9997 0.4796 0.3813  1 Te 1.94, 1 Fe 2.03, 1 Cr 2.10
10 O 0.0009 0.0009 0.3824  1 Te 1.95, 2 Cr 2.07
11 O 0.1523 0.1523 0.8900  1 Cr 1.89, 2 Fe 1.99
12 O 0.1790 0.6534 0.8811  1 Te 1.95, 1 Fe 2.04, 1 Cr 2.11
13 O 0.2964 0.8710 0.1293  1 Cr 1.95, 1 Te 2.00, 1 Fe 2.15
14 O 0.3017 0.3017 0.1317  1 Te 1.97, 2 Fe 2.07
15 O 0.3488 0.7834 0.6289  1 Te 1.99, 1 Cr 2.00, 1 Fe 2.09
16 O 0.3507 0.3507 0.6264  1 Te 2.00, 2 Cr 2.02
17 O 0.4796 0.9997 0.3813  1 Te 1.94, 1 Fe 2.03, 1 Cr 2.10
18 O 0.4905 0.4905 0.3919  2 Cr 1.94, 1 Fe 1.97
19 O 0.6534 0.1790 0.8811  1 Te 1.95, 1 Fe 2.04, 1 Cr 2.11
20 O 0.6543 0.6543 0.8813  1 Te 1.93, 2 Fe 2.05
21 O 0.7834 0.3488 0.6289  1 Te 1.99, 1 Cr 2.00, 1 Fe 2.09
22 O 0.8325 0.8325 0.5778  2 Cr 1.91, 1 Fe 1.98
23 O 0.8351 0.8351 0.0775  1 Cr 1.87, 2 Fe 1.97
24 O 0.8710 0.2964 0.1293  1 Cr 1.95, 1 Te 2.00, 1 Fe 2.15

***

(3)
A relaxed structure of Fe4O5F3. Source: the Materials Project database, functional PBE+U.

Cell lengths 10.0543, 10.0543, 4.7868 Å; angles 95.58, 95.58, 34.89 degrees
Closest atoms and distances in Å follow each position.
Sites, in units of the cell vectors:
1 Fe 0.0000 0.0000 0.0000  5 O 1.98-2.02
2 Fe 0.1308 0.6415 0.4536  3 O 1.94-1.97, 3 F 2.03-2.07
3 Fe 0.2479 0.2479 0.0042  5 O 1.97-2.00
4 Fe 0.3777 0.8923 0.4591  3 O 1.92-1.97, 3 F 2.03-2.08
5 Fe 0.5101 0.5101 0.9574  4 O 1.91
6 Fe 0.6415 0.1308 0.4536  3 O 1.94-1.97, 3 F 2.03-2.07
7 Fe 0.7602 0.7602 0.9618  4 O 1.93, 1 F 2.15
8 Fe 0.8923 0.3777 0.4591  3 O 1.92-1.97, 3 F 2.03-2.08
9 O 0.0530 0.5589 0.1626  3 Fe 1.93-1.99
10 O 0.1781 0.1781 0.2802  3 Fe 1.92-1.97
11 O 0.2193 0.7009 0.7701  3 Fe 1.91-2.02
12 O 0.3172 0.7955 0.1614  3 Fe 1.91-2.02
13 O 0.4665 0.9508 0.7757  3 Fe 1.93-2.00
14 O 0.5589 0.0530 0.1626  3 Fe 1.93-1.99
15 O 0.7009 0.2193 0.7701  3 Fe 1.91-2.02
16 O 0.7955 0.3172 0.1614  3 Fe 1.91-2.02
17 O 0.9306 0.9306 0.2788  3 Fe 1.94-1.98
18 O 0.9508 0.4665 0.7757  3 Fe 1.93-2.00
19 F 0.0844 0.0844 0.6564  2 Fe 2.04
20 F 0.3386 0.3386 0.6389  2 Fe 2.04
21 F 0.4318 0.4318 0.2657  3 Fe 2.03-2.21
22 F 0.5865 0.5865 0.6556  3 Fe 2.08-2.16
23 F 0.6817 0.6817 0.2766  3 Fe 2.03-2.24
24 F 0.8363 0.8363 0.6612  3 Fe 2.07-2.15

***

(4)
A relaxed structure of LiVO2F2. Source: the Materials Project database, functional PBE+U.

Cell lengths 6.2523, 3.5231, 6.7832 Å; angles 90.00, 109.78, 90.00 degrees
Closest atoms and distances in Å follow each position.
Sites, in units of the cell vectors:
1 Li 0.1502 0.0000 0.2019  4 F 2.07-2.30, 1 O 2.09
2 Li 0.8498 0.5000 0.7981  4 F 2.07-2.30, 1 O 2.09
3 V 0.3566 0.0004 0.7717  1 O 1.62
4 V 0.6434 0.5004 0.2283  1 O 1.62
5 O 0.2066 0.0005 0.5241  1 V 1.62
6 O 0.4047 0.5061 0.8520  2 V 1.82-1.86
7 O 0.5953 0.0061 0.1480  2 V 1.82-1.86
8 O 0.7934 0.5005 0.4759  1 V 1.62
9 F 0.1110 0.0128 0.8862  1 V 1.94, 1 Li 2.07
10 F 0.3479 0.5100 0.2488  1 V 1.90, 1 Li 2.08
11 F 0.6521 0.0100 0.7512  1 V 1.90, 1 Li 2.08
12 F 0.8890 0.5128 0.1138  1 V 1.94, 1 Li 2.07

***

(5)
A relaxed structure of Li2AlNiO4. Source: the Materials Project database, functional PBE+U.

Cell lengths 4.9821, 5.3660, 8.1113 Å; angles 90.00, 127.87, 90.00 degrees
Closest atoms and distances in Å follow each position.
Sites, in units of the cell vectors:
1 Li 0.0000 0.1685 0.0000  4 O 1.98-2.02
2 Li 0.0000 0.8315 0.5000  4 O 1.98-2.02
3 Li 0.2502 0.3290 0.7531  4 O 1.99-2.03
4 Li 0.2502 0.6710 0.2531  4 O 1.99-2.03
5 Al 0.7573 0.3268 0.2507  4 O 1.78-1.79
6 Al 0.7573 0.6732 0.7507  4 O 1.78-1.79
7 Ni 0.5094 0.1721 0.5049  4 O 1.86-1.87
8 Ni 0.5094 0.8279 0.0049  4 O 1.86-1.87
9 O 0.1286 0.3151 0.2642  1 Al 1.79, 1 Ni 1.86, 1 Li 1.98
10 O 0.1286 0.6849 0.7642  1 Al 1.79, 1 Ni 1.86, 1 Li 1.98
11 O 0.4257 0.1610 0.0231  1 Al 1.78, 1 Ni 1.86
12 O 0.4257 0.8390 0.5231  1 Al 1.78, 1 Ni 1.86
13 O 0.6406 0.3558 0.7378  1 Al 1.78, 1 Ni 1.86
14 O 0.6406 0.6442 0.2378  1 Al 1.78, 1 Ni 1.86
15 O 0.8604 0.1863 0.4817  1 Al 1.78, 1 Ni 1.87, 1 Li 1.99
16 O 0.8604 0.8137 0.9817  1 Al 1.78, 1 Ni 1.87, 1 Li 1.99

## Properties
Largest piezoelectric modulus in C/m2: 0.89

***

(6)
A relaxed structure of Li2Mn3NbO8. Source: the Materials Project database, functional PBE+U.

Cell lengths 6.2099, 6.1217, 10.2230 Å; angles 103.96, 89.99, 59.51 degrees
Closest atoms and distances in Å follow each position.
Sites, in units of the cell vectors:
1 Li 0.3069 0.3862 0.5701  4 O 1.95-2.15
2 Li 0.8069 0.3862 0.0701  4 O 1.95-2.15
3 Li 0.1921 0.6157 0.9301  4 O 1.96-2.16
4 Li 0.6921 0.6158 0.4301  4 O 1.96-2.16
5 Mn 0.7500 0.9992 0.7508  4 O 1.95-2.03
6 Mn 0.2508 0.9992 0.7508  4 O 1.95-2.03
7 Mn 0.0024 0.9951 0.4980  4 O 1.93-2.13
8 Mn 0.2501 0.9992 0.2509  4 O 1.95-2.03
9 Mn 0.7507 0.9993 0.2508  4 O 1.95-2.03
10 Mn 0.5024 0.9952 0.9980  4 O 1.93-2.13
11 Nb 0.7526 0.4948 0.7467  6 O 1.96-2.09
12 Nb 0.2525 0.4949 0.2467  6 O 1.96-2.09
13 O 0.0949 0.8103 0.6374  3 Mn 1.94-2.03, 1 Li 2.15
14 O 0.5949 0.8102 0.1374  3 Mn 1.94-2.03, 1 Li 2.15
15 O 0.4050 0.1899 0.8636  3 Mn 1.93-2.02, 1 Li 2.16
16 O 0.9050 0.1900 0.3636  3 Mn 1.93-2.02, 1 Li 2.16
17 O 0.8634 0.2732 0.8716  1 Li 1.95, 1 Nb 1.96
18 O 0.3634 0.2732 0.3716  1 Li 1.95, 1 Nb 1.96
19 O 0.6489 0.2456 0.6381  2 Mn 1.97-2.18, 1 Nb 2.04, 1 Li 2.04
20 O 0.1489 0.2456 0.1381  2 Mn 1.97-2.18, 1 Nb 2.04, 1 Li 2.04
21 O 0.1056 0.2457 0.6382  2 Mn 1.97-2.18, 1 Nb 2.04, 1 Li 2.04
22 O 0.6056 0.2457 0.1381  2 Mn 1.97-2.18, 1 Nb 2.04, 1 Li 2.04
23 O 0.3950 0.7558 0.8623  2 Mn 1.95-2.13, 1 Li 2.05, 1 Nb 2.09
24 O 0.8949 0.7558 0.3623  2 Mn 1.95-2.13, 1 Li 2.05, 1 Nb 2.09
25 O 0.8492 0.7558 0.8623  2 Mn 1.95-2.13, 1 Li 2.05, 1 Nb 2.09
26 O 0.3491 0.7559 0.3624  2 Mn 1.95-2.13, 1 Li 2.05, 1 Nb 2.09
27 O 0.6334 0.7332 0.6300  1 Nb 1.96, 1 Li 1.96
28 O 0.1334 0.7332 0.1300  1 Nb 1.96, 1 Li 1.96

***

no.,formation energy from the elements (kJ/mol of formula units)
1,-1932.6
2,-3948.7
3,-2135.5
4,-1570.7
5,-1708.5
6,-3143.9